# La2MnGaO6 GGA+U relaxed
# Total energy after the MP2020 corrections = -8.217 eV/atom
# ΔH_f (0 K) = -2935 kJ/mol of formula units
# Total moment = 4.00 μB per formula unit
data_La2MnGaO6
_cell_length_a 5.521
_cell_length_b 5.550
_cell_length_c 9.747
_cell_angle_alpha 90.00
_cell_angle_beta 123.28
_cell_angle_gamma 90.00
_symmetry_space_group_name_H-M 'P 1 21/c 1'
_symmetry_Int_Tables_number 14
loop_
_symmetry_equiv_pos_as_xyz
'x,y,z'
'-x,-y,-z'
'-x,y+1/2,-z+1/2'
'x,-y+1/2,z+1/2'
loop_
_atom_site_label
_atom_site_fract_x
_atom_site_fract_y
_atom_site_fract_z
La1 0.239 0.034 0.248
Mn1 0.000 0.000 0.500
Ga1 0.500 0.000 0.000
O1 0.167 0.220 0.956
O2 0.231 0.712 0.953
O3 0.348 0.015 0.766

---

# Li2Mn3GaO8 GGA+U relaxed
# Total energy after the MP2020 corrections = -7.391 eV/atom
# ΔH_f (0 K) = -2853 kJ/mol of formula units
# Total moment = 10.00 μB per formula unit
data_Li2Mn3GaO8
_cell_length_a 10.101
_cell_length_b 6.020
_cell_length_c 10.148
_cell_angle_alpha 90.00
_cell_angle_beta 108.51
_cell_angle_gamma 90.00
_symmetry_space_group_name_H-M 'C 1 2/c 1'
_symmetry_Int_Tables_number 15
loop_
_symmetry_equiv_pos_as_xyz
'x,y,z'
'-x,-y,-z'
'-x,y,-z+1/2'
'x,-y,z+1/2'
'x+1/2,y+1/2,z'
'-x+1/2,-y+1/2,-z'
'-x+1/2,y+1/2,-z+1/2'
'x+1/2,-y+1/2,z+1/2'
loop_
_atom_site_label
_atom_site_fract_x
_atom_site_fract_y
_atom_site_fract_z
Li1 0.192 0.249 0.319
Mn1 0.000 0.000 0.000
Mn2 0.000 0.500 0.000
Mn3 0.250 0.250 0.000
Ga1 0.000 0.252 0.750
O1 0.103 0.257 0.612
O2 0.122 0.031 0.885
O3 0.123 0.473 0.885
O4 0.126 0.277 0.111

---

# Li2Mn3GaO8 GGA+U relaxed
# Total energy after the MP2020 corrections = -7.376 eV/atom
# ΔH_f (0 K) = -2832 kJ/mol of formula units
# Total moment = 10.00 μB per formula unit
data_Li2Mn3GaO8
_cell_length_a 5.9444
_cell_length_b 5.9444
_cell_length_c 14.4281
_cell_angle_alpha 90.00
_cell_angle_beta 90.00
_cell_angle_gamma 120.00
_symmetry_space_group_name_H-M 'R -3 m'
_symmetry_Int_Tables_number 166
_symmetry_space_group_name_Hall '-R 3 2"'
loop_
_atom_site_label
_atom_site_fract_x
_atom_site_fract_y
_atom_site_fract_z
Li1 0.0000 0.0000 0.1216
Mn1 0.0000 0.5000 0.0000
Ga1 0.0000 0.0000 0.5000
O1 0.0000 0.0000 0.2606
O2 0.0349 0.5174 0.2571

---

no.,calculated total energy (eV per cell)
1,-152.751
2,-371.923
3,-278.286